1.
An optimized crystal structure of GdAsS. Source: the Materials Project, functional r2SCAN.

a = 17.129 Å, b = 3.845 Å, c = 3.891 Å
α = 90.00°, β = 90.00°, γ = 90.00°
Space group Pnma (No. 62)
Inequivalent atoms, fractional coordinates:
Gd  0.146  0.250  0.236 (multiplicity 4)
As  0.001  0.250  0.713 (multiplicity 4)
S  0.187  0.750  0.739 (multiplicity 4)

Output
calculated total energy	-285.7	eV per cell
magnetic moment	2.33	μB/atom

***

2.
An optimized crystal structure of SmAl3Ni. Source: the Materials Project, functional r2SCAN.

a = 8.160 Å, b = 4.073 Å, c = 10.704 Å
α = 90.00°, β = 90.00°, γ = 90.00°
Space group Pnma (No. 62)
Inequivalent atoms, fractional coordinates:
Sm  0.185  0.250  0.011 (multiplicity 4)
Al  0.053  0.250  0.582 (multiplicity 4)
Al  0.118  0.750  0.783 (multiplicity 4)
Al  0.142  0.750  0.225 (multiplicity 4)
Ni  0.104  0.250  0.356 (multiplicity 4)

Output
calculated total energy	-260.1	eV per cell
magnetic moment	0.00	μB/atom

***

3.
An optimized crystal structure of Ca6HfO8. Source: the Materials Project, functional r2SCAN.

a = 9.543 Å, b = 9.543 Å, c = 9.543 Å
α = 90.00°, β = 90.00°, γ = 90.00°
Space group Fm-3m (No. 225)
Inequivalent atoms, fractional coordinates:
Ca  0.000  0.250  0.250 (multiplicity 24)
Hf  0.000  0.000  0.000 (multiplicity 4)
O  0.000  0.000  0.219 (multiplicity 24)
O  0.250  0.250  0.250 (multiplicity 8)

Output
calculated total energy	-743.3	eV per cell
magnetic moment	0.00	μB/atom

***

4.
An optimized crystal structure of Nd3U2O10. Source: the Materials Project, functional r2SCAN.

a = 11.970 Å, b = 5.466 Å, c = 8.478 Å
α = 90.00°, β = 132.83°, γ = 90.00°
Space group C2/m (No. 12)
Inequivalent atoms, fractional coordinates:
Nd  0.000  0.000  0.000 (multiplicity 2)
Nd  0.101  0.500  0.403 (multiplicity 4)
U  0.193  0.000  0.792 (multiplicity 4)
O  0.000  0.225  0.500 (multiplicity 4)
O  0.108  0.246  0.891 (multiplicity 8)
O  0.208  0.263  0.287 (multiplicity 8)

Output
calculated total energy	-727.3	eV per cell
magnetic moment	0.07	μB/atom

***

- What is the magnetic moment in the second record?
  0.00 μB/atom